(1)
Density functional theory data (GGA-PBE) for a relaxed BeVCo2 crystal.

abc: 5.503 5.503 5.503
angles: 90.00 90.00 90.00
Element x y z (fractional)
Be: 0.000 0.000 0.000
Be: 0.000 0.500 0.500
Be: 0.500 0.000 0.500
Be: 0.500 0.500 0.000
V: 0.000 0.000 0.500
V: 0.000 0.500 0.000
V: 0.500 0.000 0.000
V: 0.500 0.500 0.500
Co: 0.250 0.250 0.250
Co: 0.250 0.250 0.750
Co: 0.250 0.750 0.250
Co: 0.250 0.750 0.750
Co: 0.750 0.250 0.250
Co: 0.750 0.250 0.750
Co: 0.750 0.750 0.250
Co: 0.750 0.750 0.750

- Crystal system: cubic
- Energy of formation: -1.2 eV per formula unit
- Volume: 166.6 Å³ per cell


(2)
Density functional theory data (GGA-PBE) for a relaxed BaMg6Fe crystal.

abc: 4.898 6.292 13.436
angles: 90.00 90.00 90.00
Element x y z (fractional)
Ba: 0.000 0.000 0.000
Ba: 0.000 0.500 0.500
Mg: 0.000 0.000 0.437
Mg: 0.000 0.244 0.220
Mg: 0.000 0.256 0.720
Mg: 0.000 0.500 0.937
Mg: 0.000 0.744 0.720
Mg: 0.000 0.756 0.220
Mg: 0.500 0.000 0.610
Mg: 0.500 0.244 0.344
Mg: 0.500 0.256 0.844
Mg: 0.500 0.500 0.110
Mg: 0.500 0.744 0.844
Mg: 0.500 0.756 0.344
Fe: 0.500 0.000 0.172
Fe: 0.500 0.500 0.672

- Crystal system: orthorhombic
- Energy of formation: 2.1 eV per formula unit
- Offset from the most stable computed form: 0.0095 eV/atom
- Volume: 414.1 Å³ per cell


(3)
Density functional theory data (GGA-PBE) for a relaxed Pu4Mn crystal.

abc: 6.447 6.447 6.447
angles: 60.00 60.00 60.00
Element x y z (fractional)
Pu: 0.168 0.777 0.777
Pu: 0.223 0.223 0.223
Pu: 0.223 0.223 0.832
Pu: 0.223 0.832 0.223
Pu: 0.777 0.168 0.777
Pu: 0.777 0.777 0.168
Pu: 0.777 0.777 0.777
Pu: 0.832 0.223 0.223
Mn: 0.375 0.375 0.375
Mn: 0.625 0.625 0.625

- Crystal system: cubic
- Energy of formation: 5.2 eV per formula unit
- Volume: 189.5 Å³ per cell


(4)
Density functional theory data (GGA-PBE) for a relaxed Ir3C8O8 crystal.

abc: 13.788 13.038 18.873
angles: 90.00 132.59 90.00
Element x y z (fractional)
Ir: 0.000 0.115 0.250
Ir: 0.000 0.199 0.750
Ir: 0.000 0.801 0.250
Ir: 0.000 0.885 0.750
Ir: 0.036 0.040 0.872
Ir: 0.036 0.960 0.372
Ir: 0.192 0.043 0.824
Ir: 0.192 0.957 0.324
Ir: 0.333 0.464 0.113
Ir: 0.333 0.536 0.613
Ir: 0.395 0.464 0.286
Ir: 0.395 0.536 0.786
Ir: 0.500 0.308 0.250
Ir: 0.500 0.380 0.750
Ir: 0.500 0.620 0.250
Ir: 0.500 0.692 0.750
Ir: 0.605 0.464 0.214
Ir: 0.605 0.536 0.714
Ir: 0.667 0.464 0.387
Ir: 0.667 0.536 0.887
Ir: 0.808 0.043 0.676
Ir: 0.808 0.957 0.176
Ir: 0.964 0.040 0.628
Ir: 0.964 0.960 0.128
C: 0.026 0.302 0.693
C: 0.026 0.698 0.193
C: 0.042 0.117 0.592
C: 0.042 0.883 0.092
C: 0.063 0.094 0.171
C: 0.063 0.906 0.671
C: 0.129 0.217 0.335
C: 0.129 0.783 0.835
C: 0.180 0.462 0.562
C: 0.180 0.538 0.062
C: 0.190 0.018 0.003
C: 0.190 0.982 0.503
C: 0.205 0.180 0.881
C: 0.205 0.820 0.381
C: 0.218 0.424 0.220
C: 0.218 0.576 0.720
C: 0.280 0.472 0.990
C: 0.280 0.528 0.490
C: 0.289 0.317 0.109
C: 0.289 0.683 0.609
C: 0.294 0.074 0.793
C: 0.294 0.926 0.293
C: 0.331 0.035 0.433
C: 0.331 0.965 0.933
C: 0.382 0.384 0.794
C: 0.382 0.616 0.294
C: 0.389 0.284 0.650
C: 0.389 0.716 0.150
C: 0.458 0.211 0.301
C: 0.458 0.789 0.801
C: 0.467 0.414 0.408
C: 0.467 0.586 0.908
C: 0.533 0.414 0.092
C: 0.533 0.586 0.592
C: 0.542 0.211 0.199
C: 0.542 0.789 0.699
C: 0.611 0.284 0.850
C: 0.611 0.716 0.350
C: 0.618 0.384 0.706
C: 0.618 0.616 0.206
C: 0.669 0.035 0.067
C: 0.669 0.965 0.567
C: 0.706 0.074 0.707
C: 0.706 0.926 0.207
C: 0.711 0.317 0.391
C: 0.711 0.683 0.891
C: 0.720 0.472 0.510
C: 0.720 0.528 0.010
C: 0.782 0.424 0.280
C: 0.782 0.576 0.780
C: 0.795 0.180 0.619
C: 0.795 0.820 0.119
C: 0.810 0.018 0.497
C: 0.810 0.982 0.997
C: 0.820 0.462 0.938
C: 0.820 0.538 0.438
C: 0.871 0.217 0.165
C: 0.871 0.783 0.665
C: 0.937 0.094 0.329
C: 0.937 0.906 0.829
C: 0.958 0.117 0.908
C: 0.958 0.883 0.408
C: 0.974 0.302 0.807
C: 0.974 0.698 0.307
O: 0.034 0.367 0.655
O: 0.034 0.633 0.155
O: 0.091 0.165 0.572
O: 0.091 0.410 0.531
O: 0.091 0.590 0.031
O: 0.091 0.835 0.072
O: 0.114 0.395 0.185
O: 0.114 0.605 0.685
O: 0.115 0.148 0.155
O: 0.115 0.852 0.655
O: 0.205 0.255 0.064
O: 0.205 0.745 0.564
O: 0.206 0.280 0.385
O: 0.206 0.720 0.885
O: 0.237 0.480 0.912
O: 0.237 0.520 0.412
O: 0.283 0.009 0.084
O: 0.283 0.991 0.584
O: 0.286 0.233 0.947
O: 0.286 0.767 0.447
O: 0.320 0.226 0.587
O: 0.320 0.774 0.087
O: 0.342 0.317 0.810
O: 0.342 0.683 0.310
O: 0.357 0.091 0.774
O: 0.357 0.909 0.274
O: 0.415 0.085 0.498
O: 0.415 0.915 0.998
O: 0.433 0.153 0.334
O: 0.433 0.847 0.834
O: 0.493 0.375 0.022
O: 0.493 0.625 0.522
O: 0.507 0.375 0.478
O: 0.507 0.625 0.978
O: 0.567 0.153 0.166
O: 0.567 0.847 0.666
O: 0.585 0.085 0.002
O: 0.585 0.915 0.502
O: 0.643 0.091 0.726
O: 0.643 0.909 0.226
O: 0.658 0.317 0.690
O: 0.658 0.683 0.190
O: 0.680 0.226 0.913
O: 0.680 0.774 0.413
O: 0.714 0.233 0.553
O: 0.714 0.767 0.053
O: 0.717 0.009 0.416
O: 0.717 0.991 0.916
O: 0.763 0.480 0.588
O: 0.763 0.520 0.088
O: 0.794 0.280 0.115
O: 0.794 0.720 0.615
O: 0.795 0.255 0.436
O: 0.795 0.745 0.936
O: 0.885 0.148 0.345
O: 0.885 0.852 0.845
O: 0.886 0.395 0.315
O: 0.886 0.605 0.815
O: 0.909 0.165 0.928
O: 0.909 0.410 0.969
O: 0.909 0.590 0.469
O: 0.909 0.835 0.428
O: 0.966 0.367 0.845
O: 0.966 0.633 0.345

- Crystal system: monoclinic
- Energy of formation: -17.2 eV per formula unit
- Offset from the most stable computed form: 0.0106 eV/atom
- Volume: 2497.8 Å³ per cell